No. 1
Below is an optimized crystal structure of LuFe4B, with properties calculated at the PBE level.

Calculated values
Total magnetic moment: 15.18 μB per cell
Total DFT energy (no corrections): -93.35 eV for the cell shown

Cell lengths 5.0012, 5.0012, 7.0079 Å; angles 90.00, 90.00, 120.00 degrees
Last column: nearest neighbours and their distance in Å.
Fractional coordinates of all 12 atoms:
Lu1 0.0000 0.0000 0.0000  6 B 2.89, 12 Fe 2.92
Lu2 0.0000 0.0000 0.5000  18 Fe 2.89-3.20
Fe1 0.0000 0.5000 0.2142  2 B 2.08
Fe2 0.0000 0.5000 0.7858  2 B 2.08
Fe3 0.3333 0.6667 0.5000  6 Fe 2.47
Fe4 0.5000 0.0000 0.2142  2 B 2.08
Fe5 0.5000 0.0000 0.7858  2 B 2.08
Fe6 0.5000 0.5000 0.2142  2 B 2.08
Fe7 0.5000 0.5000 0.7858  2 B 2.08
Fe8 0.6667 0.3333 0.5000  6 Fe 2.47
B1 0.3333 0.6667 0.0000  6 Fe 2.08
B2 0.6667 0.3333 0.0000  6 Fe 2.08

***

No. 2
Below is an optimized crystal structure of Mg6FeB, with properties calculated at the PBE level.

Calculated values
E above lowest polymorph: 0.352 eV/atom
Total magnetic moment: 4.90 μB per cell

Cell lengths 4.5404, 6.2077, 10.3759 Å; angles 90.00, 90.00, 90.00 degrees
Last column: nearest neighbours and their distance in Å.
Fractional coordinates of all 16 atoms:
Mg1 0.0000 0.5000 0.6787  2 B 2.68, 6 Mg 2.85-2.90
Mg2 0.5000 0.2514 0.5884  1 B 2.82, 8 Mg 2.90-3.12, 2 Fe 2.99-3.06
Mg3 0.5000 0.7486 0.5884  1 B 2.82, 8 Mg 2.90-3.12, 2 Fe 2.99-3.06
Mg4 0.0000 0.7535 0.4098  7 Mg 2.85-3.15, 2 Fe 2.87, 2 B 2.91
Mg5 0.5000 0.7514 0.0884  1 B 2.82, 8 Mg 2.90-3.12, 2 Fe 2.99-3.06
Mg6 0.5000 0.2486 0.0884  1 B 2.82, 8 Mg 2.90-3.12, 2 Fe 2.99-3.06
Mg7 0.0000 0.0000 0.6757  2 Fe 2.80, 8 Mg 2.89-3.10
Mg8 0.0000 0.0000 0.1787  2 B 2.68, 6 Mg 2.85-2.90
Mg9 0.0000 0.7465 0.9098  7 Mg 2.85-3.15, 2 Fe 2.87, 2 B 2.91
Mg10 0.0000 0.2465 0.4098  7 Mg 2.85-3.15, 2 Fe 2.87, 2 B 2.91
Mg11 0.0000 0.5000 0.1757  2 Fe 2.80, 8 Mg 2.89-3.10
Mg12 0.0000 0.2535 0.9098  7 Mg 2.85-3.15, 2 Fe 2.87, 2 B 2.91
B1 0.5000 0.0000 0.3154  8 Mg 2.68-2.91
B2 0.5000 0.5000 0.8154  8 Mg 2.68-2.91
Fe1 0.5000 0.0000 0.8337  10 Mg 2.80-3.06, 2 B 3.11
Fe2 0.5000 0.5000 0.3337  10 Mg 2.80-3.06, 2 B 3.11

***

No. 3
Below is an optimized crystal structure of Mg6FeB, with properties calculated at the PBE level.

Calculated values
E above lowest polymorph: 0.000 eV/atom
Total magnetic moment: 0.01 μB per cell

Cell lengths 3.2084, 9.4488, 10.1524 Å; angles 90.00, 90.00, 90.00 degrees
Last column: nearest neighbours and their distance in Å.
Fractional coordinates of all 16 atoms:
B1 0.5000 0.5000 0.2400  2 Fe 1.89
B2 0.5000 0.0000 0.7400  2 Fe 1.89
Mg1 0.0000 0.1679 0.6223  2 B 2.55, 1 Fe 2.71
Mg2 0.5000 0.2243 0.8747  1 B 2.52, 2 Fe 2.68
Mg3 0.0000 0.0000 0.3462  10 Mg 3.07-3.22
Mg4 0.5000 0.2757 0.3747  1 B 2.52, 2 Fe 2.68
Mg5 0.5000 0.0000 0.0814  2 Fe 2.94, 6 Mg 2.98-3.21
Mg6 0.5000 0.5000 0.5814  2 Fe 2.94, 6 Mg 2.98-3.21
Mg7 0.5000 0.7757 0.8747  1 B 2.52, 2 Fe 2.68
Mg8 0.0000 0.8321 0.6223  2 B 2.55, 1 Fe 2.71
Mg9 0.5000 0.7243 0.3747  1 B 2.52, 2 Fe 2.68
Mg10 0.0000 0.3321 0.1223  2 B 2.55, 1 Fe 2.71
Mg11 0.0000 0.5000 0.8462  10 Mg 3.07-3.22
Mg12 0.0000 0.6679 0.1223  2 B 2.55, 1 Fe 2.71
Fe1 0.0000 0.5000 0.3384  2 B 1.89
Fe2 0.0000 0.0000 0.8384  2 B 1.89